[1]
The following is a DFT calculation (PBE) of crystalline Ge7O16 at its relaxed geometry.

Computed properties:
total magnetization = 3.998 μB per cell
symmetry = P-43m
energy of formation from the pure elements = -1.658 eV/atom
energy = -6.030 eV/atom

Unit cell a=7.8524 b=7.8524 c=7.8524 alpha=90.00 beta=90.00 gamma=90.00
Positions (direct):
Ge (0.0000, 0.0000, 0.5000)
Ge (0.0000, 0.5000, 0.0000)
Ge (0.1364, 0.1364, 0.1364)
Ge (0.1364, 0.8636, 0.8636)
Ge (0.5000, 0.0000, 0.0000)
Ge (0.8636, 0.1364, 0.8636)
Ge (0.8636, 0.8636, 0.1364)
O (0.1154, 0.1154, 0.8846)
O (0.1154, 0.8846, 0.1154)
O (0.1322, 0.1322, 0.3724)
O (0.1322, 0.3724, 0.1322)
O (0.1322, 0.6276, 0.8678)
O (0.1322, 0.8678, 0.6276)
O (0.3724, 0.1322, 0.1322)
O (0.3724, 0.8678, 0.8678)
O (0.6276, 0.1322, 0.8678)
O (0.6276, 0.8678, 0.1322)
O (0.8678, 0.1322, 0.6276)
O (0.8678, 0.3724, 0.8678)
O (0.8678, 0.6276, 0.1322)
O (0.8678, 0.8678, 0.3724)
O (0.8846, 0.1154, 0.1154)
O (0.8846, 0.8846, 0.8846)

[2]
The following is a DFT calculation (PBE) of crystalline Ge5O11 at its relaxed geometry.

Computed properties:
total magnetization = 4.238 μB per cell
symmetry = Cm
energy of formation from the pure elements = -1.632 eV/atom
energy = -6.006 eV/atom

Unit cell a=8.3119 b=8.3119 c=7.9969 alpha=93.23 beta=93.23 gamma=126.50
Positions (direct):
Ge (0.0000, 0.0000, 0.0000)
Ge (0.0004, 0.3048, 0.4848)
Ge (0.1155, 0.4295, 0.8744)
Ge (0.3048, 0.0004, 0.4848)
Ge (0.4295, 0.1155, 0.8744)
Ge (0.4336, 0.4336, 0.3579)
Ge (0.5617, 0.5617, 0.9774)
Ge (0.5693, 0.9848, 0.2124)
Ge (0.8537, 0.8537, 0.3500)
Ge (0.9848, 0.5693, 0.2124)
O (0.0013, 0.4236, 0.6758)
O (0.0455, 0.0455, 0.2222)
O (0.0449, 0.8503, 0.4856)
O (0.0754, 0.5690, 0.0213)
O (0.1802, 0.9816, 0.9152)
O (0.2454, 0.4473, 0.4316)
O (0.3348, 0.8642, 0.3133)
O (0.3731, 0.5651, 0.8564)
O (0.4068, 0.4068, 0.1346)
O (0.4236, 0.0013, 0.6758)
O (0.4473, 0.2454, 0.4316)
O (0.5651, 0.3731, 0.8564)
O (0.5690, 0.0754, 0.0213)
O (0.5832, 0.8333, 0.6697)
O (0.6414, 0.8278, 0.1877)
O (0.6549, 0.6549, 0.4602)
O (0.7745, 0.7745, 0.9046)
O (0.8278, 0.6414, 0.1877)
O (0.8333, 0.5832, 0.6697)
O (0.8503, 0.0449, 0.4856)
O (0.8642, 0.3348, 0.3133)
O (0.9816, 0.1802, 0.9152)

[3]
The following is a DFT calculation (PBE) of crystalline Ge2O3 at its relaxed geometry.

Computed properties:
symmetry = Pm-3m
energy of formation from the pure elements = -1.487 eV/atom
energy = -5.893 eV/atom

Unit cell a=3.7741 b=3.7741 c=3.7741 alpha=90.00 beta=90.00 gamma=90.00
Positions (direct):
Ge (0.0000, 0.0000, 0.0000)
Ge (0.5000, 0.5000, 0.5000)
O (0.0000, 0.0000, 0.5000)
O (0.0000, 0.5000, 0.0000)
O (0.5000, 0.0000, 0.0000)

Number 1: MP2020-corrected energy -6.507 eV per atom. Number 2: MP2020-corrected energy -6.479 eV per atom. Number 3: MP2020-corrected energy -6.305 eV per atom.